Entry 1:
# PBE+U Fe5O2F8, optimized geometry
data_Fe5O2F8
_chemical_formula_sum 'Fe10 O4 F16'
_symmetry_space_group_name_H-M 'P 1'
_symmetry_Int_Tables_number 1
_symmetry_space_group_name_Hall 'P 1'
_cell_length_a 4.820
_cell_length_b 4.824
_cell_length_c 16.063
_cell_angle_alpha 90.00
_cell_angle_beta 89.48
_cell_angle_gamma 90.00
loop_
_atom_site_label
_atom_site_type_symbol
_atom_site_fract_x
_atom_site_fract_y
_atom_site_fract_z
Fe1 Fe 0.500 0.500 0.500
F1 F 0.806 0.197 0.501
F2 F 0.204 0.804 0.708
F3 F 0.194 0.803 0.499
O1 O 0.326 0.324 0.605
F4 F 0.194 0.797 0.290
Fe2 Fe 0.026 0.028 0.601
O2 O 0.174 0.824 0.895
F5 F 0.782 0.213 0.890
Fe3 Fe 0.974 0.972 0.399
Fe4 Fe 0.474 0.528 0.899
F6 F 0.282 0.287 0.390
F7 F 0.306 0.303 0.001
Fe5 Fe 0.504 0.513 0.308
O3 O 0.826 0.176 0.105
F8 F 0.218 0.787 0.110
Fe6 Fe 0.004 0.987 0.808
Fe7 Fe 0.496 0.487 0.692
Fe8 Fe 0.526 0.472 0.101
F9 F 0.806 0.203 0.710
F10 F 0.704 0.696 0.208
F11 F 0.296 0.304 0.792
F12 F 0.796 0.196 0.292
Fe9 Fe 0.000 0.000 0.000
Fe10 Fe 0.996 0.013 0.192
F13 F 0.694 0.703 0.790
F14 F 0.718 0.713 0.610
O4 O 0.674 0.676 0.395
F15 F 0.694 0.697 0.999
F16 F 0.306 0.297 0.210
# Energy above the most stable polymorph in this dataset ... 0.22 eV per formula unit
# Space group ... No. 14
# DFT total energy ... -5.732 eV/atom
# ΔE_f ... -34.763 eV/f.u.

=====

Entry 2:
# PBE+U Fe2O3F, optimized geometry
data_Fe2O3F
_chemical_formula_sum 'Fe8 O12 F4'
_symmetry_space_group_name_H-M 'P 1'
_symmetry_Int_Tables_number 1
_symmetry_space_group_name_Hall 'P 1'
_cell_length_a 4.697
_cell_length_b 4.697
_cell_length_c 12.044
_cell_angle_alpha 90.00
_cell_angle_beta 90.00
_cell_angle_gamma 94.18
loop_
_atom_site_label
_atom_site_type_symbol
_atom_site_fract_x
_atom_site_fract_y
_atom_site_fract_z
F1 F 0.193 0.807 0.000
O1 O 0.312 0.303 0.875
O2 O 0.697 0.688 0.125
Fe1 Fe 0.984 0.016 0.125
Fe2 Fe 0.521 0.479 0.000
F2 F 0.196 0.804 0.753
O3 O 0.689 0.697 0.626
F3 F 0.196 0.804 0.247
O4 O 0.697 0.688 0.875
O5 O 0.689 0.697 0.374
O6 O 0.312 0.303 0.125
O7 O 0.303 0.311 0.374
O8 O 0.303 0.311 0.626
O9 O 0.175 0.825 0.500
O10 O 0.815 0.185 0.254
Fe3 Fe 0.465 0.535 0.500
O11 O 0.815 0.185 0.746
F4 F 0.796 0.204 0.500
Fe4 Fe 0.998 0.002 0.375
Fe5 Fe 0.526 0.474 0.750
Fe6 Fe 0.984 0.016 0.875
Fe7 Fe 0.998 0.002 0.625
Fe8 Fe 0.526 0.474 0.250
O12 O 0.810 0.190 0.000
# Energy above the most stable polymorph in this dataset ... 0.06 eV per formula unit
# Space group ... No. 38
# DFT total energy ... -6.107 eV/atom
# ΔE_f ... -9.979 eV/f.u.

=====

Entry 3:
# PBE+U Fe4OF7, optimized geometry
data_Fe4OF7
_chemical_formula_sum 'Fe8 O2 F14'
_symmetry_space_group_name_H-M 'P 1'
_symmetry_Int_Tables_number 1
_symmetry_space_group_name_Hall 'P 1'
_cell_length_a 5.810
_cell_length_b 5.810
_cell_length_c 9.375
_cell_angle_alpha 86.00
_cell_angle_beta 86.00
_cell_angle_gamma 72.14
loop_
_atom_site_label
_atom_site_type_symbol
_atom_site_fract_x
_atom_site_fract_y
_atom_site_fract_z
Fe1 Fe 0.643 0.127 0.365
Fe2 Fe 0.873 0.357 0.135
F1 F 0.236 0.716 0.481
Fe3 Fe 0.127 0.643 0.865
Fe4 Fe 0.770 0.230 0.750
Fe5 Fe 0.500 0.000 0.000
F2 F 0.808 0.691 0.002
F3 F 0.982 0.480 0.726
F4 F 0.192 0.309 0.998
Fe6 Fe 0.230 0.770 0.250
F5 F 0.520 0.018 0.774
F6 F 0.480 0.982 0.226
Fe7 Fe 0.357 0.873 0.635
O1 O 0.945 0.055 0.250
F7 F 0.284 0.764 0.019
F8 F 0.309 0.192 0.498
F9 F 0.466 0.534 0.750
F10 F 0.691 0.808 0.502
Fe8 Fe 0.000 0.500 0.500
F11 F 0.716 0.236 0.981
F12 F 0.018 0.520 0.274
F13 F 0.534 0.466 0.250
O2 O 0.055 0.945 0.750
F14 F 0.764 0.284 0.519
# Energy above the most stable polymorph in this dataset ... 0.31 eV per formula unit
# Space group ... No. 15
# DFT total energy ... -5.666 eV/atom
# ΔE_f ... -28.709 eV/f.u.